(1)
VASP calculation (PBE) on a relaxed structure of AlCuO3.

a b c (Å): 3.1582 3.1582 11.2295
angles (deg): 90.00 90.00 120.00
With the nearest neighbours (Å) after each atom.
Positions (direct):
Al 0.0000 0.0000 0.5000  6 O 2.02
Al 0.0000 0.0000 0.0000  6 O 2.02
Cu 0.6667 0.3333 0.7500  5 O 1.82-1.95
Cu 0.3333 0.6667 0.2500  5 O 1.82-1.95
O 0.3333 0.6667 0.4236  1 Cu 1.95, 3 Al 2.02
O 0.6667 0.3333 0.9236  1 Cu 1.95, 3 Al 2.02
O 0.6667 0.3333 0.5764  1 Cu 1.95, 3 Al 2.02
O 0.3333 0.6667 0.0764  1 Cu 1.95, 3 Al 2.02
O 0.0000 0.0000 0.2500  3 Cu 1.82
O 0.0000 0.0000 0.7500  3 Cu 1.82

=====

(2)
VASP calculation (PBE) on a relaxed structure of CaH16O10.

a b c (Å): 5.9542 6.4351 12.2580
angles (deg): 97.42 100.17 85.63
With the nearest neighbours (Å) after each atom.
Positions (direct):
Ca 0.0261 0.0456 0.4769  6 O 2.30-2.48
Ca 0.9493 0.9766 0.0146  7 O 2.33-2.55, 1 H 2.50
H 0.0740 0.3139 0.3030  1 O 0.98
H 0.2820 0.4000 0.4004  1 O 1.02
H 0.9665 0.6067 0.3849  1 O 0.99
H 0.7192 0.6549 0.4089  1 O 1.03
H 0.5522 0.0607 0.3745  1 O 0.99
H 0.6227 0.2995 0.3895  1 O 1.03
H 0.2726 0.8315 0.2859  1 O 0.99
H 0.3871 0.7377 0.3987  1 O 1.03
H 0.9845 0.2628 0.8653  1 O 0.99
H 0.7319 0.3488 0.9019  1 O 1.01
H 0.0618 0.7202 0.8126  1 O 0.99
H 0.2764 0.6608 0.9061  1 O 1.01
H 0.3155 0.0552 0.8600  1 O 0.98
H 0.3678 0.3022 0.8848  1 O 1.02
H 0.6632 0.8104 0.8066  1 O 0.97
H 0.5950 0.6945 0.9046  1 O 1.03
H 0.7924 0.6201 0.6193  1 O 1.05
H 0.0427 0.7391 0.6444  1 O 0.98
H 0.2042 0.2305 0.7072  1 O 1.00
H 0.0758 0.4195 0.6475  1 O 1.00
H 0.4027 0.7001 0.5856  1 O 1.07
H 0.4118 0.9490 0.6206  1 O 0.99
H 0.7280 0.1517 0.6923  1 O 0.98
H 0.6077 0.2738 0.5928  1 O 1.02
H 0.3081 0.6378 0.1062  1 O 1.03
H 0.0747 0.6350 0.1564  1 O 0.97
H 0.7774 0.3952 0.1152  1 O 1.02
H 0.0546 0.3234 0.1209  1 O 0.98
H 0.6257 0.7365 0.1106  1 O 1.03
H 0.7181 0.9102 0.2139  1 O 0.98
H 0.3969 0.2978 0.0747  1 O 1.01
H 0.4393 0.0693 0.1113  1 O 0.99
O 0.5222 0.5237 0.4345  1 O 1.50, 4 H 1.59-1.65
O 0.5074 0.4996 0.9423  1 O 1.50, 2 H 1.55-1.59
O 0.5658 0.5294 0.5587  2 H 1.45-1.54, 1 O 1.50
O 0.5288 0.5129 0.0664  1 O 1.50, 4 H 1.58-1.67
O 0.1244 0.3387 0.3841  2 H 0.98-1.02
O 0.8533 0.7261 0.3897  2 H 0.99-1.03
O 0.6764 0.1477 0.3657  2 H 0.99-1.03
O 0.3128 0.8717 0.3670  2 H 0.99-1.03
O 0.8374 0.2246 0.8829  2 H 0.99-1.01
O 0.1440 0.7654 0.8889  2 H 0.99-1.01
O 0.2603 0.1950 0.8398  2 H 0.98-1.02
O 0.6458 0.8319 0.8848  2 H 0.97-1.03
O 0.9414 0.6589 0.6765  2 H 0.98-1.05
O 0.1495 0.2770 0.6319  2 H 1.00
O 0.2985 0.8395 0.6032  2 H 0.99-1.07
O 0.6606 0.1277 0.6132  2 H 0.98-1.02
O 0.1771 0.7292 0.1364  2 H 0.97-1.03
O 0.9143 0.3067 0.1501  2 H 0.98-1.02
O 0.6847 0.8850 0.1321  2 H 0.98-1.03
O 0.3143 0.1711 0.0843  2 H 0.99-1.01

## Properties
distance to the lowest polymorph of the same formula	40	meV/atom

=====

(3)
VASP calculation (PBE) on a relaxed structure of EuY2Se4.

a b c (Å): 4.1310 12.5668 14.9483
angles (deg): 90.00 90.00 90.00
With the nearest neighbours (Å) after each atom.
Positions (direct):
Eu 0.7500 0.7422 0.1635  8 Se 3.17-3.45
Eu 0.7500 0.2422 0.3365  8 Se 3.17-3.45
Eu 0.2500 0.2578 0.8365  8 Se 3.17-3.45
Eu 0.2500 0.7578 0.6635  8 Se 3.17-3.45
Y 0.7500 0.0664 0.1105  6 Se 2.83-2.91
Y 0.7500 0.5664 0.3895  6 Se 2.83-2.91
Y 0.2500 0.9336 0.8895  6 Se 2.83-2.91
Y 0.2500 0.4336 0.6105  6 Se 2.83-2.91
Y 0.7500 0.0811 0.5985  6 Se 2.80-2.90
Y 0.7500 0.5811 0.9015  6 Se 2.80-2.90
Y 0.2500 0.9189 0.4015  6 Se 2.80-2.90
Y 0.2500 0.4189 0.0985  6 Se 2.80-2.90
Se 0.7500 0.2918 0.6780  3 Y 2.90-2.91, 2 Eu 3.17
Se 0.7500 0.7918 0.8220  3 Y 2.90-2.91, 2 Eu 3.17
Se 0.2500 0.7082 0.3220  3 Y 2.90-2.91, 2 Eu 3.17
Se 0.2500 0.2082 0.1780  3 Y 2.90-2.91, 2 Eu 3.17
Se 0.7500 0.3668 0.9699  3 Y 2.88-2.90, 2 Eu 3.18
Se 0.7500 0.8668 0.5301  3 Y 2.88-2.90, 2 Eu 3.18
Se 0.2500 0.6332 0.0301  3 Y 2.88-2.90, 2 Eu 3.18
Se 0.2500 0.1332 0.4699  3 Y 2.88-2.90, 2 Eu 3.18
Se 0.7500 0.4764 0.2159  3 Y 2.80-2.83
Se 0.7500 0.9764 0.2841  3 Y 2.80-2.83
Se 0.2500 0.5236 0.7841  3 Y 2.80-2.83
Se 0.2500 0.0236 0.7159  3 Y 2.80-2.83
Se 0.7500 0.0901 0.9205  3 Y 2.86-2.89
Se 0.7500 0.5901 0.5795  3 Y 2.86-2.89
Se 0.2500 0.9099 0.0795  3 Y 2.86-2.89
Se 0.2500 0.4099 0.4205  3 Y 2.86-2.89

=====

(4)
VASP calculation (PBE) on a relaxed structure of Na4Ga2Si2SO12.

a b c (Å): 8.9064 8.9064 21.9235
angles (deg): 90.20 89.80 119.66
With the nearest neighbours (Å) after each atom.
Positions (direct):
Na 0.6409 0.9993 0.2525  5 O 2.35-2.58
Na 0.3667 0.3733 0.2458  5 O 2.40-2.52
Na 0.9944 0.6252 0.2521  6 O 2.45-2.63
Na 0.6267 0.6333 0.7458  5 O 2.40-2.52
Na 0.0007 0.3591 0.7525  5 O 2.35-2.58
Na 0.3748 0.0056 0.7521  6 O 2.45-2.63
Na 0.3076 0.3326 0.5858  5 O 2.35-2.58
Na 0.0334 0.7066 0.5792  5 O 2.40-2.52
Na 0.6611 0.9585 0.5855  6 O 2.45-2.63
Na 0.2934 0.9666 0.0792  5 O 2.40-2.52
Na 0.6674 0.6924 0.0858  5 O 2.35-2.58
Na 0.0415 0.3389 0.0855  6 O 2.45-2.63
Na 0.9743 0.6660 0.9191  5 O 2.35-2.58
Na 0.7001 0.0400 0.9125  5 O 2.40-2.52
Na 0.3278 0.2919 0.9188  6 O 2.45-2.63
Na 0.9600 0.2999 0.4125  5 O 2.40-2.52
Na 0.3340 0.0257 0.4191  5 O 2.35-2.58
Na 0.7081 0.6722 0.4188  6 O 2.45-2.63
Na 0.9951 0.9876 0.5001  6 O 2.43-2.65
Na 0.0124 0.0049 0.0001  6 O 2.43-2.65
Na 0.6618 0.3210 0.8334  6 O 2.43-2.65
Na 0.6790 0.3382 0.3334  6 O 2.43-2.65
Na 0.3285 0.6543 0.1667  6 O 2.43-2.65
Na 0.3457 0.6715 0.6667  6 O 2.43-2.65
Ga 0.9697 0.9820 0.3511  4 O 1.84-2.02
Ga 0.0180 0.0303 0.8511  4 O 1.84-2.02
Ga 0.9971 0.9982 0.6495  5 O 1.89-2.05
Ga 0.0018 0.0029 0.1495  5 O 1.89-2.05
Ga 0.6364 0.3153 0.6844  4 O 1.84-2.02
Ga 0.6847 0.3636 0.1844  4 O 1.84-2.02
Ga 0.6638 0.3315 0.9828  5 O 1.89-2.05
Ga 0.6685 0.3362 0.4828  5 O 1.89-2.05
Ga 0.3030 0.6487 0.0177  4 O 1.84-2.02
Ga 0.3513 0.6970 0.5177  4 O 1.84-2.02
Ga 0.3305 0.6648 0.3162  5 O 1.89-2.05
Ga 0.3352 0.6695 0.8162  5 O 1.89-2.05
Si 0.7045 0.7081 0.2491  4 O 1.63-1.65
Si 0.9991 0.2903 0.2500  4 O 1.64-1.66
Si 0.2919 0.2955 0.7491  4 O 1.63-1.65
Si 0.7097 0.0009 0.7500  4 O 1.64-1.66
Si 0.3711 0.0414 0.5824  4 O 1.63-1.65
Si 0.6658 0.6237 0.5833  4 O 1.64-1.66
Si 0.9586 0.6289 0.0824  4 O 1.63-1.65
Si 0.3763 0.3342 0.0833  4 O 1.64-1.66
Si 0.0378 0.3748 0.9158  4 O 1.63-1.65
Si 0.3324 0.9570 0.9166  4 O 1.64-1.66
Si 0.6252 0.9622 0.4158  4 O 1.63-1.65
Si 0.0430 0.6676 0.4166  4 O 1.64-1.66
S 0.2917 0.0015 0.2505  4 O 1.47-1.50
S 0.9985 0.7083 0.7505  4 O 1.47-1.50
S 0.9584 0.3348 0.5838  4 O 1.47-1.50
S 0.6652 0.0416 0.0838  4 O 1.47-1.50
S 0.6251 0.6681 0.9171  4 O 1.47-1.50
S 0.3319 0.3749 0.4171  4 O 1.47-1.50
O 0.2151 0.0341 0.3051  1 S 1.47
O 0.8300 0.7821 0.3087  1 Si 1.63
O 0.9689 0.1711 0.3108  1 Si 1.64
O 0.2179 0.1700 0.8087  1 Si 1.63
O 0.9659 0.7849 0.8051  1 S 1.47
O 0.8289 0.0311 0.8108  1 Si 1.64
O 0.7926 0.9596 0.6898  1 Si 1.64
O 0.1681 0.2095 0.6894  1 Si 1.64
O 0.0320 0.8172 0.6951  1 S 1.49
O 0.7905 0.8319 0.1894  1 Si 1.64
O 0.0404 0.2074 0.1898  1 Si 1.64
O 0.1828 0.9680 0.1951  1 S 1.49
O 0.8817 0.3674 0.6384  1 S 1.47
O 0.4967 0.1154 0.6420  1 Si 1.63
O 0.6356 0.5044 0.6442  1 Si 1.64
O 0.8846 0.5033 0.1420  1 Si 1.63
O 0.6326 0.1183 0.1384  1 S 1.47
O 0.4956 0.3644 0.1442  1 Si 1.64
O 0.4593 0.2929 0.0231  1 Si 1.64
O 0.8348 0.5428 0.0227  1 Si 1.64
O 0.6987 0.1505 0.0284  1 S 1.49
O 0.4572 0.1652 0.5227  1 Si 1.64
O 0.7071 0.5407 0.5231  1 Si 1.64
O 0.8495 0.3013 0.5284  1 S 1.49
O 0.5484 0.7008 0.9718  1 S 1.47
O 0.1633 0.4487 0.9754  1 Si 1.63
O 0.3022 0.8377 0.9775  1 Si 1.64
O 0.5513 0.8367 0.4754  1 Si 1.63
O 0.2992 0.4516 0.4718  1 S 1.47
O 0.1623 0.6978 0.4775  1 Si 1.64
O 0.1260 0.6262 0.3564  1 Si 1.64
O 0.5014 0.8761 0.3561  1 Si 1.64
O 0.3654 0.4839 0.3618  1 S 1.49
O 0.1239 0.4986 0.8561  1 Si 1.64
O 0.3738 0.8740 0.8564  1 Si 1.64
O 0.5161 0.6346 0.8618  1 S 1.49
O 0.0331 0.8485 0.4103  1 Si 1.66
O 0.8208 0.9851 0.4132  1 Si 1.65
O 0.1792 0.2002 0.4107  1 S 1.48
O 0.0149 0.1792 0.9132  1 Si 1.65
O 0.1515 0.9669 0.9103  1 Si 1.66
O 0.7998 0.8208 0.9107  1 S 1.48
O 0.9748 0.1759 0.5875  1 S 1.50
O 0.1788 0.0241 0.5900  1 Si 1.65
O 0.8382 0.8182 0.5889  1 Si 1.66
O 0.9759 0.8212 0.0900  1 Si 1.65
O 0.8241 0.0252 0.0875  1 S 1.50
O 0.1818 0.1618 0.0889  1 Si 1.66
O 0.6997 0.1818 0.7436  1 Si 1.66
O 0.4875 0.3185 0.7465  1 Si 1.65
O 0.8459 0.5335 0.7440  1 S 1.48
O 0.6815 0.5125 0.2465  1 Si 1.65
O 0.8182 0.3003 0.2436  1 Si 1.66
O 0.4665 0.1541 0.2440  1 S 1.48
O 0.6414 0.5092 0.9208  1 S 1.50
O 0.8455 0.3575 0.9234  1 Si 1.65
O 0.5049 0.1515 0.9222  1 Si 1.66
O 0.6425 0.1545 0.4234  1 Si 1.65
O 0.4908 0.3586 0.4208  1 S 1.50
O 0.8485 0.4951 0.4222  1 Si 1.66
O 0.3664 0.5152 0.0770  1 Si 1.66
O 0.1541 0.6518 0.0799  1 Si 1.65
O 0.5125 0.8669 0.0774  1 S 1.48
O 0.3482 0.8459 0.5799  1 Si 1.65
O 0.4848 0.6336 0.5770  1 Si 1.66
O 0.1331 0.4875 0.5774  1 S 1.48
O 0.3081 0.8425 0.2541  1 S 1.50
O 0.5121 0.6908 0.2567  1 Si 1.65
O 0.1715 0.4849 0.2556  1 Si 1.66
O 0.3092 0.4879 0.7567  1 Si 1.65
O 0.1575 0.6919 0.7541  1 S 1.50
O 0.5151 0.8285 0.7556  1 Si 1.66

=====

(5)
VASP calculation (PBE) on a relaxed structure of BaCuAs2O7.

a b c (Å): 8.5250 6.0117 14.3330
angles (deg): 67.26 90.00 90.00
With the nearest neighbours (Å) after each atom.
Positions (direct):
Ba 0.3490 0.5020 0.7872  8 O 2.68-2.98
Ba 0.8490 0.4980 0.7128  8 O 2.68-2.98
Ba 0.6510 0.4980 0.2128  8 O 2.68-2.98
Ba 0.1510 0.5020 0.2872  8 O 2.68-2.98
Cu 0.3588 0.1530 0.1211  4 O 1.94-2.04
Cu 0.1412 0.1530 0.6211  4 O 1.94-2.04
Cu 0.6412 0.8470 0.8789  4 O 1.94-2.04
Cu 0.8588 0.8470 0.3789  4 O 1.94-2.04
As 0.4658 0.9054 0.3429  4 O 1.69-1.78
As 0.6806 0.1646 0.0055  4 O 1.68-1.81
As 0.0342 0.9054 0.8429  4 O 1.69-1.78
As 0.5342 0.0946 0.6571  4 O 1.69-1.78
As 0.3194 0.8354 0.9945  4 O 1.68-1.81
As 0.8194 0.1646 0.5055  4 O 1.68-1.81
As 0.1806 0.8354 0.4945  4 O 1.68-1.81
As 0.9658 0.0946 0.1571  4 O 1.69-1.78
O 0.5881 0.2001 0.1064  1 As 1.73
O 0.0881 0.7999 0.3936  1 As 1.73
O 0.4119 0.7999 0.8936  1 As 1.73
O 0.9119 0.2001 0.6064  1 As 1.73
O 0.6494 0.8727 0.0130  1 As 1.74
O 0.1494 0.1273 0.4870  1 As 1.74
O 0.3506 0.1273 0.9870  1 As 1.74
O 0.8506 0.8727 0.5130  1 As 1.74
O 0.6582 0.3929 0.8922  1 As 1.68
O 0.1582 0.6071 0.6078  1 As 1.68
O 0.3418 0.6071 0.1078  1 As 1.68
O 0.8418 0.3929 0.3922  1 As 1.68
O 0.8866 0.1729 0.0332  2 As 1.78-1.81
O 0.3866 0.8271 0.4668  2 As 1.78-1.81
O 0.1134 0.8271 0.9668  2 As 1.78-1.81
O 0.6134 0.1729 0.5332  2 As 1.78-1.81
O 0.6273 0.8366 0.7389  1 As 1.73
O 0.1273 0.1634 0.7611  1 As 1.73
O 0.3727 0.1634 0.2611  1 As 1.73
O 0.8727 0.8366 0.2389  1 As 1.73
O 0.4435 0.6667 0.3100  1 As 1.69
O 0.9435 0.3333 0.1900  1 As 1.69
O 0.5565 0.3333 0.6900  1 As 1.69
O 0.0565 0.6667 0.8100  1 As 1.69
O 0.3463 0.0015 0.6512  1 As 1.71
O 0.8463 0.9985 0.8488  1 As 1.71
O 0.6537 0.9985 0.3488  1 As 1.71
O 0.1537 0.0015 0.1512  1 As 1.71

=====

no.,energy relative to the elements (eV per atom),volume (A^3/atom)
1,-1.94,9.7
2,-1.35,8.5
3,-2.21,27.7
4,-2.42,12.0
5,-1.97,15.4